Entry 1:
U2FeS5: optimized geometry, PBE-GGA.

Results
Formation enthalpy at 0 K: -1.424 eV/atom
Theoretical density: 7.7 g/cm3
Energy with MP2020 corrections: -7.8910 eV per atom
Symmetry: C2/c (15)

Unit cell a=7.842 b=7.842 c=6.948 alpha=96.88 beta=96.88 gamma=44.91
Atoms (fractional coordinates):
1 U 0.095 0.686 0.915
2 U 0.314 0.905 0.585
3 U 0.686 0.095 0.415
4 U 0.905 0.314 0.085
5 Fe 0.000 0.500 0.500
6 Fe 0.500 0.000 0.000
7 S 0.098 0.902 0.250
8 S 0.135 0.308 0.809
9 S 0.291 0.525 0.575
10 S 0.308 0.135 0.309
11 S 0.475 0.709 0.925
12 S 0.525 0.291 0.075
13 S 0.692 0.865 0.691
14 S 0.709 0.475 0.425
15 S 0.865 0.692 0.191
16 S 0.902 0.098 0.750

***

Entry 2:
V3FeS6: optimized geometry, PBE-GGA.

Results
Formation enthalpy at 0 K: -1.121 eV/atom
Theoretical density: 4.4 g/cm3
Energy with MP2020 corrections: -7.1751 eV per atom
Symmetry: R-3 (148)

Unit cell a=6.432 b=6.432 c=6.432 alpha=51.56 beta=51.56 gamma=51.56
Atoms (fractional coordinates):
1 V 0.000 0.000 0.000
2 V 0.331 0.331 0.331
3 V 0.669 0.669 0.669
4 Fe 0.500 0.500 0.500
5 S 0.090 0.753 0.419
6 S 0.247 0.581 0.910
7 S 0.419 0.090 0.753
8 S 0.581 0.910 0.247
9 S 0.753 0.419 0.090
10 S 0.910 0.247 0.581

***

Entry 3:
VFe2S4: optimized geometry, PBE-GGA.

Results
Formation enthalpy at 0 K: -0.902 eV/atom
Theoretical density: 4.9 g/cm3
Energy with MP2020 corrections: -6.9839 eV per atom
Symmetry: Cm (8)

Unit cell a=6.124 b=6.124 c=5.727 alpha=114.34 beta=114.34 gamma=30.35
Atoms (fractional coordinates):
1 V 0.000 0.000 0.000
2 Fe 0.258 0.258 0.314
3 Fe 0.525 0.525 0.634
4 S 0.154 0.154 0.868
5 S 0.367 0.367 0.746
6 S 0.621 0.621 0.341
7 S 0.899 0.899 0.304

***

Entry 4:
YFe2S4: optimized geometry, PBE-GGA.

Results
Formation enthalpy at 0 K: -1.062 eV/atom
Theoretical density: 4.0 g/cm3
Energy with MP2020 corrections: -6.7695 eV per atom
Symmetry: C2/c (15)

Unit cell a=7.264 b=7.264 c=7.231 alpha=119.80 beta=119.80 gamma=88.57
Atoms (fractional coordinates):
1 Y 0.000 0.500 0.000
2 Y 0.500 0.000 0.500
3 Fe 0.000 0.000 0.000
4 Fe 0.000 0.000 0.500
5 Fe 0.378 0.622 0.750
6 Fe 0.622 0.378 0.250
7 S 0.210 0.237 0.475
8 S 0.230 0.769 0.986
9 S 0.231 0.770 0.514
10 S 0.237 0.210 0.975
11 S 0.763 0.790 0.025
12 S 0.769 0.230 0.486
13 S 0.770 0.231 0.014
14 S 0.790 0.763 0.525

***

Entry 5:
Y4FeS7: optimized geometry, PBE-GGA.

Results
Formation enthalpy at 0 K: -2.000 eV/atom
Theoretical density: 4.1 g/cm3
Energy with MP2020 corrections: -7.2745 eV per atom
Symmetry: Cm (8)

Unit cell a=6.489 b=6.489 c=11.383 alpha=103.84 beta=103.84 gamma=33.96
Atoms (fractional coordinates):
1 Y 0.000 0.000 0.000
2 Y 0.387 0.387 0.592
3 Y 0.582 0.582 0.354
4 Y 0.694 0.694 0.799
5 Fe 0.804 0.804 0.217
6 S 0.034 0.034 0.740
7 S 0.204 0.204 0.284
8 S 0.356 0.356 0.844
9 S 0.422 0.422 0.146
10 S 0.663 0.663 0.022
11 S 0.729 0.729 0.575
12 S 0.947 0.947 0.428

***

Entry 6:
ZnFe4S8: optimized geometry, PBE-GGA.

Results
Formation enthalpy at 0 K: -0.593 eV/atom
Theoretical density: 4.1 g/cm3
Energy with MP2020 corrections: -5.8417 eV per atom
Symmetry: R-3m (166)

Unit cell a=6.766 b=6.766 c=6.766 alpha=60.30 beta=60.30 gamma=60.30
Atoms (fractional coordinates):
1 Zn 0.000 0.000 0.000
2 Fe 0.000 0.500 0.500
3 Fe 0.500 0.000 0.500
4 Fe 0.500 0.500 0.000
5 Fe 0.500 0.500 0.500
6 S 0.257 0.257 0.721
7 S 0.257 0.721 0.257
8 S 0.260 0.260 0.260
9 S 0.279 0.743 0.743
10 S 0.721 0.257 0.257
11 S 0.740 0.740 0.740
12 S 0.743 0.279 0.743
13 S 0.743 0.743 0.279

***

Entry 7:
ZnFe2S5: optimized geometry, PBE-GGA.

Results
Formation enthalpy at 0 K: -0.479 eV/atom
Theoretical density: 3.8 g/cm3
Energy with MP2020 corrections: -5.3393 eV per atom
Symmetry: Pmmn (59)

Unit cell a=3.661 b=13.471 c=5.925 alpha=90.00 beta=90.00 gamma=90.00
Atoms (fractional coordinates):
1 Zn 0.250 0.250 0.055
2 Zn 0.750 0.750 0.945
3 Fe 0.250 0.605 0.434
4 Fe 0.250 0.895 0.434
5 Fe 0.750 0.105 0.566
6 Fe 0.750 0.395 0.566
7 S 0.250 0.060 0.388
8 S 0.250 0.440 0.388
9 S 0.250 0.642 0.094
10 S 0.250 0.750 0.599
11 S 0.250 0.858 0.094
12 S 0.750 0.142 0.906
13 S 0.750 0.250 0.401
14 S 0.750 0.358 0.906
15 S 0.750 0.560 0.612
16 S 0.750 0.940 0.612

***

Entry 8:
ZnFe4S8: optimized geometry, PBE-GGA.

Results
Formation enthalpy at 0 K: -0.636 eV/atom
Theoretical density: 3.9 g/cm3
Energy with MP2020 corrections: -5.8842 eV per atom
Symmetry: R-3m (166)

Unit cell a=7.285 b=7.285 c=7.285 alpha=53.69 beta=53.69 gamma=53.69
Atoms (fractional coordinates):
1 Zn 0.000 0.000 0.000
2 Fe 0.000 0.000 0.500
3 Fe 0.000 0.500 0.000
4 Fe 0.500 0.000 0.000
5 Fe 0.500 0.500 0.500
6 S 0.228 0.743 0.743
7 S 0.237 0.237 0.237
8 S 0.257 0.257 0.772
9 S 0.257 0.772 0.257
10 S 0.743 0.228 0.743
11 S 0.743 0.743 0.228
12 S 0.763 0.763 0.763
13 S 0.772 0.257 0.257